Compound: As3Pb2ClO6
Source: the Materials Project database
Functional: PBE
Structure: optimized geometry

## Properties
For the energy of formation, the calculation gives -1599.0 meV per atom. Its raw total energy is -5.667 eV/atom. The calculation puts the volume at 19.07 Å³/atom. For the calculated density, the calculation gives 5.591 g/cm³.

Cell lengths 19.932, 5.467, 8.402 Å; angles 90.00, 90.00, 90.00 degrees
Space group Pnma (No. 62)
Unique sites:
As 0.044 0.250 0.188 x4
As 0.167 0.750 0.760 x4
As 0.177 0.250 0.960 x4
Pb 0.059 0.250 0.610 x4
Pb 0.141 0.750 0.344 x4
Cl 0.213 0.250 0.548 x4
O 0.046 0.009 0.332 x8
O 0.105 0.750 0.608 x4
O 0.126 0.003 0.875 x8
O 0.138 0.250 0.155 x4